Arrangement P

{
  "formula": "Ti3Bi4O12",
  "functional": "GGA-PBE",
  "state": "relaxed",
  "crystal_system": "orthorhombic",
  "spacegroup": "Aea2, No. 41",
  "piezo_max_c_m2": 6.081,
  "cell": [[2.7680, -16.7079, 0.0000], [2.7680, 16.7079, 0.0000], [0.0000, 0.0000, 5.4704]],
  "species": ["Bi", "Bi", "O", "Ti", "Ti", "Bi", "O", "O", "O", "O", "O", "O", "O", "O", "O", "O", "Ti", "Ti", "O", "Ti", "O", "O", "O", "O", "Bi", "Ti", "Bi", "O", "O", "O", "Bi", "O", "O", "Bi", "O", "Bi", "O", "O"],
  "fractional_positions": [[0.4372, 0.5691, 0.5030], [0.3198, 0.7428, 0.5252], [0.6853, 0.6649, 0.2529], [0.3271, 0.5815, 0.0034], [0.0815, 0.8271, 0.5034], [0.0691, 0.9372, 0.0030], [0.3162, 0.0979, 0.2767], [0.9665, 0.8506, 0.5765], [0.8506, 0.9665, 0.4235], [0.7656, 0.1241, 0.5642], [0.2656, 0.6241, 0.9358], [0.0081, 0.5065, 0.2411], [0.1853, 0.1649, 0.2471], [0.4665, 0.3506, 0.9235], [0.6649, 0.6853, 0.7471], [0.0065, 0.5081, 0.7411], [0.8271, 0.0815, 0.4966], [0.4611, 0.4611, 0.0000], [0.5081, 0.0065, 0.2589], [0.9611, 0.9611, 0.5000], [0.6241, 0.2656, 0.0642], [0.0170, 0.2648, 0.2034], [0.2648, 0.0170, 0.7966], [0.8162, 0.5979, 0.2233], [0.2428, 0.8198, 0.0252], [0.5815, 0.3271, 0.9966], [0.5691, 0.4372, 0.4970], [0.1241, 0.7656, 0.4358], [0.5979, 0.8162, 0.7767], [0.5170, 0.7648, 0.2966], [0.9372, 0.0691, 0.9970], [0.1649, 0.1853, 0.7529], [0.7648, 0.5170, 0.7034], [0.7428, 0.3198, 0.4748], [0.0979, 0.3162, 0.7233], [0.8198, 0.2428, 0.9748], [0.3506, 0.4665, 0.0765], [0.5065, 0.0081, 0.7589]]
}

Arrangement Q

{
  "formula": "Ti3Bi4O12",
  "functional": "GGA-PBE",
  "state": "relaxed",
  "crystal_system": "monoclinic",
  "spacegroup": "C2/m, No. 12",
  "magmom_total_mub_per_fu": 0.00,
  "cell": [[-1.5720, -3.0729, 1.7384], [3.4918, -1.5391, 0.6119], [1.7272, 5.9168, 15.8206]],
  "species": ["Bi", "Ti", "Ti", "Bi", "O", "O", "O", "O", "Bi", "O", "O", "Ti", "O", "O", "O", "O", "O", "Bi", "O"],
  "fractional_positions": [[0.2222, 0.2222, 0.5765], [0.3647, 0.3647, 0.2570], [0.6353, 0.6353, 0.7430], [0.8604, 0.8604, 0.1325], [0.8933, 0.4109, 0.2326], [0.5350, 0.5350, 0.8815], [0.5000, 0.0000, 0.0000], [0.2497, 0.7503, 0.5000], [0.7778, 0.7778, 0.4235], [0.0000, 0.5000, 0.0000], [0.3229, 0.3229, 0.3633], [0.5000, 0.5000, 0.0000], [0.1067, 0.5891, 0.7674], [0.7503, 0.2497, 0.5000], [0.4109, 0.8933, 0.2326], [0.4650, 0.4650, 0.1185], [0.5891, 0.1067, 0.7674], [0.1396, 0.1396, 0.8675], [0.6771, 0.6771, 0.6367]]
}

Arrangement R

{
  "formula": "Ti3Bi4O12",
  "functional": "GGA-PBE",
  "state": "relaxed",
  "crystal_system": "tetragonal",
  "spacegroup": "I4/mmm, No. 139",
  "magmom_total_mub_per_fu": 0.00,
  "cell": [[-14.6010, -7.3516, -4.0480], [-16.3152, -2.2274, -3.5316], [15.9679, 5.2251, 1.1600]],
  "species": ["O", "O", "O", "Bi", "Ti", "Ti", "Bi", "O", "O", "Bi", "O", "Bi", "O", "O", "O", "Ti", "O", "O", "O"],
  "fractional_positions": [[0.8846, 0.3846, 0.5000], [0.2500, 0.7500, 0.5000], [0.6154, 0.1154, 0.5000], [0.2113, 0.2113, 0.0000], [0.5000, 0.5000, 0.0000], [0.6278, 0.6278, 0.0000], [0.0666, 0.0666, 0.0000], [0.3182, 0.3182, 0.0000], [0.5596, 0.5596, 0.0000], [0.9334, 0.9334, 0.0000], [0.7500, 0.2500, 0.5000], [0.7887, 0.7887, 0.0000], [0.4404, 0.4404, 0.0000], [0.0000, 0.5000, 0.5000], [0.1154, 0.6154, 0.5000], [0.3722, 0.3722, 0.0000], [0.6818, 0.6818, 0.0000], [0.5000, 0.0000, 0.5000], [0.3846, 0.8846, 0.5000]]
}

Relative energy table, unit kJ/mol of atoms: arrangement P 0.0; arrangement Q 3.3; arrangement R 5.6

Arrangement P

{
  "formula": "Ti2Bi2O7",
  "functional": "GGA-PBE",
  "state": "relaxed",
  "crystal_system": "orthorhombic",
  "spacegroup": "Pna2_1, No. 33",
  "cell": [[-6.9111, -1.9988, -1.8454], [1.4641, -7.0016, 2.1005], [-3.2527, 2.2449, 9.7502]],
  "species": ["O", "O", "O", "Bi", "O", "O", "Ti", "O", "O", "O", "O", "O", "Ti", "Bi", "O", "Bi", "O", "Ti", "O", "O", "Ti", "Ti", "O", "Bi", "Ti", "Bi", "O", "Bi", "O", "O", "O", "O", "O", "Ti", "O", "Bi", "O", "O", "O", "O", "Bi", "O", "Ti", "O"],
  "fractional_positions": [[0.1903, 0.4372, 0.8767], [0.5121, 0.7617, 0.1837], [0.1714, 0.0526, 0.8647], [0.7822, 0.2919, 0.2337], [0.9833, 0.7582, 0.6227], [0.6903, 0.4372, 0.6233], [0.2394, 0.2450, 0.7376], [0.0041, 0.7450, 0.9291], [0.7026, 0.9322, 0.3837], [0.5167, 0.2582, 0.1227], [0.4879, 0.2617, 0.8163], [0.5041, 0.7450, 0.5709], [0.2606, 0.7450, 0.2376], [0.4632, 0.4748, 0.9708], [0.9959, 0.2450, 0.0709], [0.9632, 0.4748, 0.5292], [0.9879, 0.2617, 0.6837], [0.4903, 0.5050, 0.5102], [0.2100, 0.5463, 0.1244], [0.7100, 0.5463, 0.3756], [0.7394, 0.2450, 0.7624], [0.0097, 0.0050, 0.0102], [0.0121, 0.7617, 0.3163], [0.5368, 0.9748, 0.0292], [0.9903, 0.5050, 0.9898], [0.7178, 0.7919, 0.7337], [0.4959, 0.2450, 0.4291], [0.2822, 0.2919, 0.2663], [0.8286, 0.5526, 0.1353], [0.7900, 0.0463, 0.8756], [0.4833, 0.7582, 0.8773], [0.2026, 0.9322, 0.1163], [0.2974, 0.4322, 0.6163], [0.5097, 0.0050, 0.4898], [0.3097, 0.9372, 0.3767], [0.0368, 0.9748, 0.4708], [0.7974, 0.4322, 0.8837], [0.2900, 0.0463, 0.6244], [0.6714, 0.0526, 0.6353], [0.3286, 0.5526, 0.3647], [0.2178, 0.7919, 0.7663], [0.8097, 0.9372, 0.1233], [0.7606, 0.7450, 0.2624], [0.0167, 0.2582, 0.3773]]
}

Arrangement Q

{
  "formula": "Ti2Bi2O7",
  "functional": "GGA-PBE",
  "state": "relaxed",
  "crystal_system": "cubic",
  "spacegroup": "Fd-3m, No. 227",
  "magmom_total_mub_per_fu": 0.00,
  "cell": [[-1.3574, -6.8706, -2.2734], [1.2180, -5.6823, 4.5215], [-5.6783, -3.7530, 2.8085]],
  "species": ["Ti", "O", "O", "O", "O", "Bi", "Ti", "O", "O", "O", "O", "O", "O", "Bi", "Ti", "Ti", "O", "Bi", "O", "O", "Bi", "O"],
  "fractional_positions": [[0.1250, 0.6250, 0.1250], [0.0512, 0.0512, 0.4488], [0.4488, 0.0512, 0.0512], [0.4488, 0.4488, 0.0512], [0.0512, 0.4488, 0.0512], [0.6250, 0.6250, 0.6250], [0.1250, 0.1250, 0.6250], [0.7500, 0.7500, 0.7500], [0.0512, 0.4488, 0.4488], [0.1988, 0.8012, 0.1988], [0.1988, 0.8012, 0.8012], [0.1988, 0.1988, 0.8012], [0.8012, 0.8012, 0.1988], [0.6250, 0.6250, 0.1250], [0.6250, 0.1250, 0.1250], [0.1250, 0.1250, 0.1250], [0.8012, 0.1988, 0.8012], [0.6250, 0.1250, 0.6250], [0.5000, 0.5000, 0.5000], [0.4488, 0.0512, 0.4488], [0.1250, 0.6250, 0.6250], [0.8012, 0.1988, 0.1988]]
}

Relative energy table, unit kJ/mol of atoms: arrangement P 0.0; arrangement Q 3.2

Arrangement P

{
  "formula": "TiZnBi2O6",
  "functional": "GGA-PBE",
  "state": "relaxed",
  "crystal_system": "tetragonal",
  "spacegroup": "P4/mmm, No. 123",
  "magmom_total_mub_per_fu": 0.01,
  "cell": [[3.9186, 0.0000, 0.0000], [0.0000, 3.9186, 0.0000], [0.0000, 0.0000, 8.0580]],
  "species": ["O", "O", "Bi", "Bi", "Zn", "O", "Ti", "O", "O", "O"],
  "fractional_positions": [[0.5000, 0.0000, 0.5000], [0.5000, 0.5000, 0.2584], [0.0000, 0.0000, 0.7783], [0.0000, 0.0000, 0.2217], [0.5000, 0.5000, 0.0000], [0.0000, 0.5000, 0.0000], [0.5000, 0.5000, 0.5000], [0.5000, 0.0000, 0.0000], [0.0000, 0.5000, 0.5000], [0.5000, 0.5000, 0.7416]]
}

Arrangement Q

{
  "formula": "TiZnBi2O6",
  "functional": "GGA-PBE",
  "state": "relaxed",
  "crystal_system": "tetragonal",
  "spacegroup": "I4mm, No. 107",
  "magmom_total_mub_per_fu": 0.00,
  "cell": [[5.0599, -3.2687, 1.4719], [-2.0340, -4.7855, 3.3787], [-1.9180, 1.9931, -5.5500]],
  "species": ["O", "Zn", "O", "O", "O", "Bi", "Ti", "O", "Bi", "O"],
  "fractional_positions": [[0.6195, 0.6195, 0.0000], [0.2683, 0.2683, 0.0000], [0.1110, 0.6128, 0.0000], [0.1110, 0.1110, 0.4982], [0.6128, 0.1110, 0.0000], [0.9997, 0.4997, 0.5000], [0.8006, 0.8006, 0.0000], [0.6128, 0.6128, 0.5018], [0.4997, 0.9997, 0.5000], [0.0756, 0.0756, 0.0000]]
}

Arrangement R

{
  "formula": "TiZnBi2O6",
  "functional": "GGA-PBE",
  "state": "relaxed",
  "crystal_system": "tetragonal",
  "spacegroup": "P4mm, No. 99",
  "piezo_max_c_m2": 2.269,
  "magmom_total_mub_per_fu": 0.00,
  "cell": [[-0.2355, -2.0478, -4.8836], [-4.6315, -2.2904, 1.1838], [-2.4196, 4.0708, -1.5903]],
  "species": ["Ti", "O", "O", "Bi", "O", "O", "O", "Bi", "O", "Zn"],
  "fractional_positions": [[0.5000, 0.5000, 0.4141], [0.0000, 0.0000, 0.8292], [0.5000, 0.5000, 0.7716], [0.0000, 0.5000, 0.9999], [0.2571, 0.7429, 0.2728], [0.7429, 0.7429, 0.2728], [0.2571, 0.2571, 0.2728], [0.5000, 0.0000, 0.9999], [0.7429, 0.2571, 0.2728], [0.0000, 0.0000, 0.4471]]
}

Arrangement S

{
  "formula": "TiZnBi2O6",
  "functional": "GGA-PBE",
  "state": "relaxed",
  "crystal_system": "monoclinic",
  "spacegroup": "Cm, No. 8",
  "magmom_total_mub_per_fu": 0.00,
  "cell": [[-2.1326, -1.1378, 2.9708], [3.1436, -1.1083, 1.8862], [0.8424, 8.9272, 4.3407]],
  "species": ["Bi", "Ti", "O", "O", "O", "O", "O", "Zn", "O", "Bi"],
  "fractional_positions": [[0.9908, 0.9908, 0.0800], [0.4884, 0.4884, 0.7650], [0.4866, 0.4866, 0.9365], [0.4645, 0.9807, 0.7061], [0.9817, 0.4812, 0.1992], [0.4441, 0.4441, 0.4786], [0.9807, 0.4645, 0.7061], [0.4793, 0.4793, 0.2797], [0.4812, 0.9817, 0.1992], [0.0596, 0.0596, 0.5487]]
}

Relative energy table, unit kJ/mol of atoms: arrangement P 23.7; arrangement Q 1.2; arrangement R 1.8; arrangement S 0.0

Arrangement P

{
  "formula": "TiZnBi2O6",
  "functional": "GGA-PBE",
  "state": "relaxed",
  "crystal_system": "orthorhombic",
  "spacegroup": "Amm2, No. 38",
  "magmom_total_mub_per_fu": 0.00,
  "cell": [[4.1357, 2.2994, -0.5822], [-2.7703, 3.7068, 1.1468], [1.5300, -0.9987, 6.9239]],
  "species": ["O", "Zn", "Ti", "O", "O", "O", "Bi", "O", "Bi", "O"],
  "fractional_positions": [[0.0565, 0.3946, 0.5000], [0.4648, 0.5352, 0.5000], [0.4666, 0.5334, 0.0000], [0.5816, 0.4184, 0.2386], [0.5612, 0.9145, 0.0000], [0.6054, 0.9435, 0.5000], [0.8798, 0.1202, 0.7388], [0.0855, 0.4388, 0.0000], [0.8798, 0.1202, 0.2612], [0.5816, 0.4184, 0.7614]]
}

Arrangement Q

{
  "formula": "TiZnBi2O6",
  "functional": "GGA-PBE",
  "state": "relaxed",
  "crystal_system": "tetragonal",
  "spacegroup": "P4mm, No. 99",
  "piezo_max_c_m2": 1.993,
  "magmom_total_mub_per_fu": 0.00,
  "cell": [[3.7823, 0.0000, 0.0000], [0.0000, 3.7823, 0.0000], [0.0000, 0.0000, 9.9563]],
  "species": ["O", "Bi", "O", "Bi", "Ti", "Zn", "O", "O", "O", "O"],
  "fractional_positions": [[0.0000, 0.5000, 0.3476], [0.0000, 0.0000, 0.9996], [0.5000, 0.0000, 0.8494], [0.0000, 0.0000, 0.4679], [0.5000, 0.5000, 0.7878], [0.5000, 0.5000, 0.2616], [0.5000, 0.5000, 0.6160], [0.0000, 0.5000, 0.8494], [0.5000, 0.5000, 0.0639], [0.5000, 0.0000, 0.3476]]
}

Relative energy table, unit kJ/mol of atoms: arrangement P 0.0; arrangement Q 1.4

Arrangement P

{
  "formula": "Y2Bi2O7",
  "functional": "GGA-PBE",
  "state": "relaxed",
  "crystal_system": "cubic",
  "spacegroup": "Fd-3m, No. 227",
  "magmom_total_mub_per_fu": 0.42,
  "cell": [[4.8294, -1.7116, -5.7933], [4.2834, -6.4321, 0.3087], [-1.5693, -5.9214, -4.7212]],
  "species": ["O", "O", "O", "O", "O", "O", "O", "O", "O", "Y", "O", "Bi", "Y", "O", "O", "Y", "Bi", "O", "Y", "Bi", "O", "Bi"],
  "fractional_positions": [[0.2279, 0.2279, 0.7721], [0.0221, 0.4779, 0.4779], [0.7721, 0.2279, 0.2279], [0.4779, 0.0221, 0.0221], [0.2279, 0.7721, 0.7721], [0.0221, 0.0221, 0.4779], [0.7721, 0.7721, 0.2279], [0.2279, 0.7721, 0.2279], [0.7500, 0.7500, 0.7500], [0.6250, 0.1250, 0.6250], [0.5000, 0.5000, 0.5000], [0.1250, 0.1250, 0.6250], [0.6250, 0.6250, 0.1250], [0.7721, 0.2279, 0.7721], [0.4779, 0.4779, 0.0221], [0.1250, 0.6250, 0.6250], [0.6250, 0.1250, 0.1250], [0.4779, 0.0221, 0.4779], [0.6250, 0.6250, 0.6250], [0.1250, 0.6250, 0.1250], [0.0221, 0.4779, 0.0221], [0.1250, 0.1250, 0.1250]]
}

Arrangement Q

{
  "formula": "Y2Bi2O7",
  "functional": "GGA-PBE",
  "state": "relaxed",
  "crystal_system": "monoclinic",
  "spacegroup": "P2_1, No. 4",
  "magmom_total_mub_per_fu": 0.00,
  "cell": [[-3.9205, -3.6480, -2.1262], [0.7191, -4.6939, 6.7276], [-9.8693, 5.9536, 7.9831]],
  "species": ["O", "Y", "O", "O", "O", "O", "Y", "Y", "Y", "O", "Bi", "Y", "Bi", "O", "O", "O", "O", "O", "O", "Bi", "O", "O", "Bi", "O", "O", "O", "O", "Y", "Y", "O", "O", "Bi", "Bi", "O", "Y", "O", "O", "O", "Bi", "O", "O", "Bi", "O", "O"],
  "fractional_positions": [[0.0494, 0.9020, 0.0221], [0.2765, 0.2478, 0.0679], [0.9237, 0.2166, 0.1292], [0.9896, 0.5327, 0.2588], [0.0474, 0.8324, 0.4400], [0.4673, 0.1611, 0.7550], [0.7765, 0.7522, 0.9321], [0.7857, 0.6362, 0.3882], [0.2857, 0.3638, 0.6118], [0.0575, 0.5666, 0.0223], [0.2792, 0.4071, 0.3308], [0.2395, 0.7061, 0.1316], [0.7792, 0.5929, 0.6692], [0.6356, 0.8396, 0.6529], [0.4296, 0.6761, 0.3017], [0.8699, 0.5859, 0.8220], [0.8851, 0.9891, 0.8243], [0.9296, 0.3239, 0.6983], [0.5861, 0.5789, 0.5390], [0.7608, 0.9766, 0.1176], [0.1356, 0.1604, 0.3471], [0.6271, 0.3637, 0.3726], [0.7628, 0.4588, 0.1312], [0.5480, 0.9325, 0.4170], [0.3851, 0.0109, 0.1757], [0.4896, 0.4673, 0.7412], [0.0861, 0.4211, 0.4610], [0.8099, 0.1336, 0.4426], [0.3099, 0.8664, 0.5574], [0.5494, 0.0980, 0.9779], [0.1002, 0.2703, 0.9221], [0.7616, 0.0784, 0.6823], [0.2608, 0.0234, 0.8824], [0.5474, 0.1676, 0.5600], [0.7395, 0.2939, 0.8684], [0.4237, 0.7834, 0.8708], [0.6002, 0.7297, 0.0779], [0.1271, 0.6363, 0.6274], [0.2616, 0.9216, 0.3177], [0.5575, 0.4334, 0.9777], [0.3699, 0.4141, 0.1780], [0.2628, 0.5412, 0.8688], [0.9673, 0.8389, 0.2450], [0.0480, 0.0675, 0.5830]]
}

Relative energy table, unit kJ/mol of atoms: arrangement P 1.3; arrangement Q 0.0